First-principles (r²SCAN) data for a relaxed Na2H6Pt crystal, as listed in the Materials Project.

Cell lengths 5.1326, 5.1326, 5.1326 Å; angles 60.00, 60.00, 60.00 degrees
Positions (direct):
Na 0.2500 0.2500 0.2500
Na 0.7500 0.7500 0.7500
H 0.2255 0.2255 0.7745
H 0.2255 0.7745 0.2255
H 0.2255 0.7745 0.7745
H 0.7745 0.2255 0.2255
H 0.7745 0.2255 0.7745
H 0.7745 0.7745 0.2255
Pt 0.0000 0.0000 0.0000

Its space group is Fm-3m. The energy of formation from the pure elements is -3.93 eV per formula unit.